Entry 1:
Material: CsInI4
Method: DFT, r2SCAN
State: optimized geometry

```
CsInI4
1.0
7.4961 0.0000 0.0000
0.0000 19.0288 0.0000
-2.4061 0.0000 8.3406
Cs In I
4 4 16
Cartesian
0.6982 2.4656 2.4298
-0.5049 7.0488 6.6002
5.5950 11.9800 1.7405
4.3919 16.5632 5.9108
-0.4706 11.9586 6.6392
0.7324 16.5846 2.4689
4.3576 2.4442 5.8718
5.5607 7.0702 1.7015
-0.5494 2.9971 6.6299
0.6537 6.5174 2.4595
1.8729 10.4778 0.6187
0.6699 18.0654 4.7890
0.7047 10.4451 4.6953
1.9078 18.0982 0.5250
1.9281 14.1955 2.9953
0.7251 14.3478 7.1656
4.3650 4.6811 1.1751
3.1620 4.8333 5.3454
3.1823 0.9307 7.8156
4.3854 8.5838 3.6453
4.4202 0.9634 3.5516
3.2172 8.5510 7.7219
4.4364 12.5115 5.8811
5.6395 16.0318 1.7108
```

## Properties
Raw total energy in eV per cell: -609.53
ΔE_f in eV/atom: -1.077


Entry 2:
Material: Cs2KPrI6
Method: DFT, r2SCAN
State: optimized geometry

```
Cs2KPrI6
1.0
0.0000 6.4434 6.4434
6.4434 0.0000 6.4434
6.4434 6.4434 0.0000
Cs K Pr I
2 1 1 6
Cartesian
3.2217 3.2217 3.2217
9.6651 9.6651 9.6651
0.0000 0.0000 0.0000
6.4434 6.4434 6.4434
6.4434 6.4434 3.3250
6.4434 3.3250 6.4434
9.5618 6.4434 6.4434
3.3250 6.4434 6.4434
6.4434 9.5618 6.4434
6.4434 6.4434 9.5618
```

## Properties
Raw total energy in eV per cell: -250.08
ΔE_f in eV/atom: -1.709


Entry 3:
Material: Cs3LaI6
Method: DFT, r2SCAN
State: optimized geometry

```
Cs3LaI6
1.0
10.7261 0.0000 0.0000
0.0000 10.7261 0.0000
0.0000 0.0000 8.8466
Cs La I
6 2 12
Cartesian
0.0000 0.0000 0.0000
0.0000 0.0000 4.4233
2.4891 6.3110 0.0000
4.4151 2.4891 4.4233
6.3110 8.2370 4.4233
8.2370 4.4151 0.0000
0.0000 5.3630 4.4233
5.3630 0.0000 0.0000
0.6614 3.2019 2.1917
0.6614 3.2019 6.6549
3.0725 6.1263 4.4233
3.2019 10.0647 2.2316
3.2019 10.0647 6.6150
4.5998 3.0725 0.0000
6.1263 7.6536 0.0000
7.5242 0.6614 2.2316
7.5242 0.6614 6.6150
7.6536 4.5998 4.4233
10.0647 7.5242 2.1917
10.0647 7.5242 6.6549
```

## Properties
Raw total energy in eV per cell: -541.04
ΔE_f in eV/atom: -1.810


Entry 4:
Material: Cs2Li3I5
Method: DFT, r2SCAN
State: optimized geometry

```
Cs2Li3I5
1.0
4.7184 0.0000 0.0000
-2.3512 8.4155 0.0000
-2.3557 -3.6832 9.9173
Cs Li I
2 3 5
Cartesian
0.0000 0.0000 0.0000
-2.3511 4.3565 4.5073
0.0085 4.5505 0.2022
-0.0255 0.3231 7.2305
2.3678 -0.1877 4.3021
-2.3464 2.3332 7.8225
0.0050 1.2546 4.2043
0.0076 6.3815 2.2557
2.3676 3.1143 0.2859
2.3634 -1.6481 6.6003
```

## Properties
Raw total energy in eV per cell: -195.65
ΔE_f in eV/atom: -1.548


Entry 5:
Material: Cs3Li2I5
Method: DFT, r2SCAN
State: optimized geometry

```
Cs3Li2I5
1.0
15.2762 -2.4103 0.0000
15.2762 2.4103 0.0000
-2.3455 0.0000 12.0581
Cs Li I
6 4 10
Cartesian
1.3456 0.0000 1.8522
0.5125 0.0000 7.8970
7.1756 0.0000 3.1368
21.0314 0.0000 8.9213
27.6945 0.0000 4.1611
26.8613 0.0000 10.2059
10.8050 0.0000 0.3886
9.5609 0.0000 7.0688
18.6461 0.0000 4.9893
17.4020 0.0000 11.6695
4.2438 0.0000 6.1883
3.3374 0.0000 10.8702
8.5909 0.0000 9.6668
13.4259 0.0000 1.2566
12.3046 0.0000 7.1867
15.9024 0.0000 4.8714
14.7811 0.0000 10.8015
19.6161 0.0000 2.3913
24.8696 0.0000 1.1879
23.9632 0.0000 5.8698
```

## Properties
Raw total energy in eV per cell: -438.35
ΔE_f in eV/atom: -1.628


Entry 6:
Material: Cs3LiI4
Method: DFT, r2SCAN
State: optimized geometry

```
Cs3LiI4
1.0
5.2007 0.0000 0.0000
0.0000 9.2391 0.0000
-2.4668 0.0000 17.1002
Cs Li I
6 2 8
Cartesian
0.0000 0.0000 0.0000
0.0000 4.6196 0.0000
-0.0135 2.3098 4.4601
-0.0098 6.9293 7.8010
2.7437 2.3098 9.2992
2.7473 6.9293 12.6401
0.1358 2.3098 12.6606
2.5980 6.9293 4.4396
-0.0074 6.9293 3.2160
0.1488 0.0453 10.9302
0.1488 4.5743 10.9302
0.1330 6.9293 15.4966
2.6008 2.3098 1.6036
2.5850 4.6648 6.1699
2.5850 9.1938 6.1699
2.7413 2.3098 13.8842
```

## Properties
Raw total energy in eV per cell: -378.42
ΔE_f in eV/atom: -1.658


Entry 7:
Material: Cs2NaScI6
Method: DFT, r2SCAN
State: optimized geometry

```
Cs2NaScI6
1.0
0.0000 6.0130 6.0130
6.0130 0.0000 6.0130
6.0130 6.0130 0.0000
Cs Na Sc I
2 1 1 6
Cartesian
3.0065 3.0065 3.0065
9.0195 9.0195 9.0195
0.0000 0.0000 0.0000
6.0130 6.0130 6.0130
6.0130 6.0130 3.1223
6.0130 3.1223 6.0130
8.9038 6.0130 6.0130
3.1223 6.0130 6.0130
6.0130 8.9038 6.0130
6.0130 6.0130 8.9038
```

## Properties
Raw total energy in eV per cell: -228.58
ΔE_f in eV/atom: -1.605


Entry 8:
Material: Cs2I4O11
Method: DFT, r2SCAN
State: optimized geometry

```
Cs2I4O11
1.0
12.7380 0.0000 0.0000
0.0000 7.4153 0.0000
-8.4803 0.0000 13.7389
Cs I O
8 16 44
Cartesian
1.0791 1.8334 0.8252
-3.1611 1.8743 7.6947
1.0719 1.8319 5.8975
-3.1683 1.8757 12.7670
7.4260 5.5396 0.9719
3.1858 5.5834 7.8413
7.4188 5.5410 6.0442
3.1786 5.5820 12.9136
-1.8673 3.7999 3.2372
-6.1074 7.3231 10.1066
-3.2296 5.3362 10.0595
1.0106 5.7868 3.1900
-0.7788 5.3719 6.8042
-5.0190 5.7512 13.6736
-0.0112 0.2672 10.1437
4.2289 3.4405 3.2742
0.0288 3.9749 10.4646
4.2689 7.1482 3.5952
9.2766 1.6642 0.0652
5.0365 2.0435 6.9347
3.2471 1.6285 10.5488
7.4873 2.0791 3.6794
10.3651 0.0922 3.6323
6.1249 3.6154 10.5017
-5.3229 5.5416 9.9022
-1.0828 5.5814 3.0328
-6.5895 3.9656 12.2685
-2.3493 7.1574 5.3991
-0.7524 0.8379 3.4209
-4.9926 2.8698 10.2903
-3.0775 5.0340 8.2951
1.1627 6.0891 1.4257
-1.4910 4.0487 5.7833
-5.7311 7.0744 12.6528
1.0387 3.9890 3.2435
-3.2015 7.1340 10.1129
-3.6152 5.2450 12.6383
0.6249 5.8781 5.7689
2.8664 0.8445 3.3602
-1.3737 2.8632 10.2297
-0.1392 0.2463 8.3493
4.1009 3.4613 1.4799
0.1560 4.3024 7.9427
4.3961 6.8206 1.0733
-1.1349 5.5278 10.3655
3.1052 5.5952 3.4960
1.1524 1.8201 10.2428
5.3926 1.8875 3.3734
-0.1385 0.5947 12.6656
4.1017 3.1129 5.7961
0.1568 3.9540 12.2590
4.3969 7.1690 5.3895
5.6314 4.5521 3.5092
1.3913 6.5709 10.3786
3.6328 1.5373 7.9700
7.8729 2.1704 1.1006
7.4592 0.2813 3.6259
3.2190 3.4263 10.4954
9.9888 0.3410 1.0861
5.7486 3.3667 7.9555
3.0950 1.3263 12.3132
7.3352 2.3814 5.4438
9.2503 4.5456 3.4485
5.0101 6.5775 10.3180
6.6070 0.2579 8.3398
10.8472 3.4498 1.4704
5.3404 1.8339 10.7061
9.5806 1.8737 3.8367
```

## Properties
Excess energy over the best structure of this formula in the dataset in meV/atom: 0
Raw total energy in eV per cell: -908.19
ΔE_f in eV/atom: -0.759


Entry 9:
Material: Cs2I4O11
Method: DFT, r2SCAN
State: optimized geometry

```
Cs2I4O11
1.0
7.2862 0.0000 0.0000
-3.6431 6.3100 0.0000
0.0000 0.0000 13.7903
Cs I O
4 8 22
Cartesian
0.0000 4.2067 0.0000
0.0000 4.2067 5.1332
3.6431 2.1033 6.8952
3.6431 2.1033 12.0283
0.0000 0.0000 5.8887
0.0000 0.0000 12.7839
-1.9206 5.0830 9.3345
0.2013 2.1052 9.3345
1.9238 0.8782 2.4394
1.7192 5.4318 9.3345
3.4417 4.2048 2.4394
5.5637 1.2270 2.4394
0.0000 0.0000 2.3350
0.0000 0.0000 9.2302
-2.0461 4.2089 2.5434
-2.3877 5.2952 11.9451
-1.9471 4.8086 7.5643
0.2512 1.5946 11.9451
0.4523 2.2195 7.5643
1.5066 0.5797 5.0500
1.0212 2.4336 2.5434
0.0000 4.2067 9.5921
2.1482 0.7181 0.6691
2.6181 0.3324 9.4386
1.0250 5.9776 2.5434
1.4949 5.5920 7.5643
3.6431 2.1033 2.6969
2.6219 3.8764 9.4386
2.1365 5.7303 11.9451
3.1908 4.0906 0.6691
3.3919 4.7154 5.0500
5.5902 1.5014 0.6691
6.0308 1.0148 5.0500
5.6892 2.1011 9.4386
```

## Properties
Excess energy over the best structure of this formula in the dataset in meV/atom: 4
Raw total energy in eV per cell: -453.97
ΔE_f in eV/atom: -0.755


Entry 10:
Material: Cs4PbI6
Method: DFT, r2SCAN
State: optimized geometry

```
Cs4PbI6
1.0
7.3780 4.2597 6.1715
-7.3780 4.2597 6.1715
0.0000 -8.5194 6.1715
Cs Pb I
8 2 12
Cartesian
-4.5900 0.5692 7.7144
0.0000 0.0000 4.6286
-2.7880 -3.6905 10.8001
1.8020 -4.2597 7.7144
-1.8020 4.2597 10.8001
2.7880 3.6905 7.7144
0.0000 0.0000 13.8859
4.5900 -0.5692 10.8001
0.0000 0.0000 0.0000
0.0000 0.0000 9.2572
-6.3916 -1.7920 10.4562
-1.6439 -6.4313 8.0583
-1.6439 -2.0881 7.3705
-4.7478 4.6393 8.0583
-0.9864 2.4677 7.3705
-2.6302 0.3796 11.1440
2.6302 -0.3796 7.3705
0.9864 -2.4677 11.1440
4.7478 -4.6393 10.4562
1.6439 2.0881 11.1440
1.6439 6.4313 10.4562
6.3916 1.7920 8.0583
```

## Properties
Raw total energy in eV per cell: -641.69
ΔE_f in eV/atom: -1.525


Entry 11:
Material: CsPbI3
Method: DFT, r2SCAN
State: optimized geometry

```
CsPbI3
1.0
10.6504 0.0000 0.0000
0.0000 4.8471 0.0000
0.0000 0.0000 18.0312
Cs Pb I
4 4 12
Cartesian
0.8656 1.2118 3.1035
4.4596 3.6354 12.1191
6.1908 1.2118 5.9121
9.7848 3.6354 14.9277
1.7238 3.6354 7.9196
3.6015 1.2118 16.9352
7.0490 3.6354 1.0960
8.9267 1.2118 10.1116
0.3118 3.6354 11.0406
1.7338 3.6354 0.0369
2.1693 1.2118 14.1961
3.1559 3.6354 5.1805
3.5914 1.2118 9.0525
5.0135 1.2118 2.0250
5.6370 3.6354 16.0062
7.0590 3.6354 8.9787
7.4945 1.2118 12.8507
8.4811 3.6354 3.8351
8.9167 1.2118 17.9943
10.3387 1.2118 6.9906
```

## Properties
Raw total energy in eV per cell: -644.31
ΔE_f in eV/atom: -1.202


Entry 12:
Material: CsScI3
Method: DFT, r2SCAN
State: optimized geometry

```
CsScI3
1.0
4.2519 -7.3573 0.0000
4.2519 7.3573 0.0000
0.0000 0.0000 6.7315
Cs Sc I
2 2 6
Cartesian
4.2519 4.9039 5.0487
4.2519 -4.9039 1.6829
4.2519 0.0000 0.0000
4.2519 0.0000 3.3658
2.1181 1.2297 5.0487
2.1181 -1.2297 1.6829
4.2519 2.4603 1.6829
4.2519 -2.4603 5.0487
6.3857 1.2297 5.0487
6.3857 -1.2297 1.6829
```

## Properties
Raw total energy in eV per cell: -235.63
ΔE_f in eV/atom: -1.526


Entry 13:
Material: CsSnI3
Method: DFT, r2SCAN
State: optimized geometry

```
CsSnI3
1.0
8.6778 0.0000 0.0000
0.0000 12.6239 0.0000
0.0000 0.0000 8.7297
Cs Sn I
4 4 12
Cartesian
0.0436 3.1560 0.0821
4.2953 9.4679 4.4469
4.3825 3.1560 4.2828
8.6342 9.4679 8.6477
0.0000 0.0000 4.3649
0.0000 6.3119 4.3649
4.3389 0.0000 0.0000
4.3389 6.3119 0.0000
0.0035 3.1560 4.1919
8.6742 9.4679 4.5378
1.7565 6.4164 1.7700
1.7565 12.5194 1.7700
2.5824 0.1045 6.1348
2.5824 6.2075 6.1348
4.3424 3.1560 0.1730
4.3354 9.4679 8.5568
6.0954 6.4164 2.5949
6.0954 12.5194 2.5949
6.9213 0.1045 6.9598
6.9213 6.2075 6.9598
```

## Properties
Raw total energy in eV per cell: -515.13
ΔE_f in eV/atom: -1.050


Entry 14:
Material: CsSnI3
Method: DFT, r2SCAN
State: optimized geometry

```
CsSnI3
1.0
10.5977 0.0000 0.0000
0.0000 4.7828 0.0000
0.0000 0.0000 17.9646
Cs Sn I
4 4 12
Cartesian
0.8918 1.1957 3.0521
4.4071 3.5871 12.0344
6.1906 1.1957 5.9302
9.7059 3.5871 14.9125
1.6812 3.5871 7.8704
3.6176 1.1957 16.8527
6.9800 3.5871 1.1119
8.9165 1.1957 10.0942
0.2846 3.5871 11.0590
1.7604 3.5871 17.9400
2.1830 1.1957 14.2164
3.1158 3.5871 5.2341
3.5384 1.1957 8.9577
5.0143 1.1957 2.0767
5.5834 3.5871 15.8879
7.0593 3.5871 9.0069
7.4818 1.1957 12.7305
8.4147 3.5871 3.7482
8.8372 1.1957 0.0246
10.3131 1.1957 6.9056
```

## Properties
Raw total energy in eV per cell: -515.39
ΔE_f in eV/atom: -1.063


Entry 15:
Material: CsSnI3
Method: DFT, r2SCAN
State: optimized geometry

```
CsSnI3
1.0
8.6604 0.0000 0.0000
0.0000 8.6604 0.0000
0.0000 0.0000 6.3612
Cs Sn I
2 2 6
Cartesian
0.0000 4.3302 0.0000
4.3302 0.0000 0.0000
0.0000 0.0000 3.1806
4.3302 4.3302 3.1806
0.0000 0.0000 0.0000
1.6750 2.6552 3.1806
2.6552 6.9854 3.1806
4.3302 4.3302 0.0000
6.0052 1.6750 3.1806
6.9854 6.0052 3.1806
```

## Properties
Raw total energy in eV per cell: -257.57
ΔE_f in eV/atom: -1.051